The following is a DFT calculation (GGA-PBE) of Na2Ta2Si3O12 after structural relaxation.

Computed properties:
Magnetic moment   0.0 μB/f.u.

a b c (Å): 8.9868 8.9868 22.7786
angles (deg): 90.31 89.69 120.43
Atoms (fractional coordinates):
O 0.8301 0.0294 0.8093
O 0.4751 0.1741 0.2427
O 0.4701 0.2986 0.0276
O 0.5249 0.8259 0.7573
O 0.8507 0.3505 0.9237
O 0.3505 0.8507 0.5763
O 0.2986 0.4701 0.4724
O 0.0172 0.1840 0.9096
O 0.8278 0.3077 0.2426
O 0.8633 0.3681 0.6391
O 0.8408 0.8084 0.5906
O 0.8259 0.5249 0.7427
O 0.3040 0.8365 0.9760
O 0.6838 0.5173 0.2429
O 0.4992 0.8621 0.3596
O 0.4968 0.3627 0.1426
O 0.1966 0.0347 0.3058
O 0.6960 0.1635 0.0240
O 0.8325 0.5288 0.0263
O 0.4827 0.3162 0.7429
O 0.8034 0.9653 0.6942
O 0.1493 0.6495 0.0763
O 0.9744 0.1612 0.5907
O 0.1722 0.6923 0.7574
O 0.5074 0.1417 0.9239
O 0.0256 0.8388 0.4093
O 0.9706 0.1699 0.3093
O 0.8046 0.8341 0.1930
O 0.5008 0.1379 0.6404
O 0.3590 0.5055 0.0759
O 0.5173 0.6838 0.2571
O 0.1840 0.0172 0.5904
O 0.1699 0.9706 0.1907
O 0.5055 0.3590 0.4241
O 0.1379 0.5008 0.8596
O 0.1367 0.6319 0.3609
O 0.5299 0.7014 0.9724
O 0.8388 0.0256 0.0907
O 0.3077 0.8278 0.2574
O 0.6373 0.5032 0.6426
O 0.4945 0.6410 0.5759
O 0.8160 0.9828 0.4096
O 0.7014 0.5299 0.5276
O 0.8341 0.8046 0.3070
O 0.8365 0.3040 0.5240
O 0.0294 0.8301 0.6907
O 0.1659 0.1954 0.6930
O 0.1635 0.6960 0.4760
O 0.6923 0.1722 0.7426
O 0.5032 0.6373 0.8574
O 0.8583 0.4926 0.4239
O 0.9828 0.8160 0.0904
O 0.1612 0.9744 0.9093
O 0.1741 0.4751 0.2573
O 0.4926 0.8583 0.0761
O 0.6319 0.1367 0.1391
O 0.5288 0.8325 0.4737
O 0.1916 0.1592 0.0906
O 0.3162 0.4827 0.7571
O 0.1592 0.1916 0.4094
O 0.8084 0.8408 0.9094
O 0.3627 0.4968 0.3574
O 0.3681 0.8633 0.8609
O 0.8621 0.4992 0.1404
O 0.1675 0.4712 0.9737
O 0.1954 0.1659 0.8070
O 0.0347 0.1966 0.1942
O 0.4712 0.1675 0.5263
O 0.6495 0.1493 0.4237
O 0.1417 0.5074 0.5761
O 0.9653 0.8034 0.8058
O 0.6410 0.4945 0.9241
Si 0.0038 0.7134 0.7490
Si 0.0467 0.6704 0.4177
Si 0.7114 0.7114 0.2500
Si 0.9553 0.6219 0.0833
Si 0.3801 0.3371 0.0843
Si 0.6199 0.6629 0.9157
Si 0.3781 0.0447 0.5833
Si 0.2866 0.9962 0.2490
Si 0.9533 0.3296 0.5823
Si 0.9962 0.2866 0.2510
Si 0.6704 0.0467 0.0823
Si 0.6629 0.6199 0.5843
Si 0.3296 0.9533 0.9177
Si 0.0447 0.3781 0.9167
Si 0.7134 0.0038 0.7510
Si 0.2886 0.2886 0.7500
Si 0.3371 0.3801 0.4157
Si 0.6219 0.9553 0.4167
Ta 0.0001 0.0044 0.6456
Ta 0.9999 0.9956 0.3544
Ta 0.9956 0.9999 0.1456
Ta 0.3332 0.6623 0.0210
Ta 0.3290 0.6666 0.8123
Ta 0.6668 0.3377 0.9790
Ta 0.6666 0.3290 0.6877
Ta 0.6710 0.3334 0.1877
Ta 0.6623 0.3332 0.4790
Ta 0.3334 0.6710 0.3123
Ta 0.3377 0.6668 0.5210
Ta 0.0044 0.0001 0.8544
Na 0.6353 0.6353 0.7500
Na 0.0313 0.6980 0.5833
Na 0.6980 0.0313 0.9167
Na 0.3647 0.3647 0.2500
Na 0.3333 0.6667 0.1667
Na 0.0000 0.0000 0.5000
Na 0.6667 0.3333 0.3333
Na 0.9687 0.3020 0.4167
Na 0.3333 0.6667 0.6667
Na 0.0000 0.0000 0.0000
Na 0.3020 0.9687 0.0833
Na 0.6667 0.3333 0.8333

The following is a DFT calculation (GGA-PBE) of Na5In3Si3GeS3O24 after structural relaxation.

Computed properties:
Magnetic moment   0.0 μB/f.u.

a b c (Å): 9.0208 9.0598 22.6527
angles (deg): 88.26 88.18 60.41
Atoms (fractional coordinates):
Na 0.0000 0.0000 0.0000
Na 0.0037 0.6901 0.5707
Na 0.0252 0.6269 0.2540
Na 0.3063 0.6535 0.4123
Na 0.3269 0.3140 0.3284
Na 0.3462 0.6883 0.0829
Na 0.3533 0.2873 0.8375
Na 0.3606 0.9586 0.5886
Na 0.3821 0.6354 0.7408
Na 0.6425 0.9901 0.7500
Na 0.6700 0.3511 0.2385
Na 0.6784 0.6521 0.6621
Na 0.6942 0.6397 0.1650
Na 0.7245 0.9664 0.0753
Na 0.9944 0.9963 0.4954
In 0.0182 0.9876 0.8560
In 0.0256 0.9841 0.6457
In 0.0257 0.9947 0.1476
In 0.0266 0.9827 0.3453
In 0.3558 0.3267 0.4815
In 0.3660 0.3100 0.6756
In 0.3670 0.3184 0.9807
In 0.6754 0.6726 0.8182
In 0.6993 0.6452 0.3111
Si 0.0358 0.2796 0.2450
Si 0.0598 0.6177 0.0788
Si 0.3126 0.9933 0.7475
Si 0.3239 0.6881 0.2460
Si 0.3659 0.6194 0.5773
Si 0.6472 0.3284 0.0796
Si 0.6569 0.0201 0.5792
Si 0.6854 0.9478 0.9166
Si 0.9794 0.6559 0.4142
Ge 0.3269 0.3691 0.1807
Ge 0.6807 0.6794 0.5162
Ge 0.7252 0.6363 0.0195
S 0.0229 0.6837 0.7475
S 0.0461 0.3318 0.5799
S 0.3618 0.0256 0.0807
S 0.3917 0.6538 0.9159
S 0.3988 0.9464 0.4168
S 0.6932 0.3614 0.4164
S 0.7138 0.9973 0.2461
S 0.7258 0.2876 0.7488
S 0.9747 0.3675 0.9164
O 0.0008 0.8276 0.4155
O 0.0251 0.1808 0.5871
O 0.0296 0.8105 0.0843
O 0.0412 0.7715 0.7981
O 0.0658 0.1709 0.3070
O 0.1240 0.3622 0.6320
O 0.1370 0.5093 0.1415
O 0.1420 0.3577 0.9196
O 0.1546 0.2981 0.5265
O 0.1710 0.4876 0.4192
O 0.1816 0.5283 0.0232
O 0.1838 0.5197 0.7419
O 0.1952 0.0091 0.8051
O 0.2038 0.7549 0.3060
O 0.2067 0.8150 0.5824
O 0.2154 0.2927 0.2331
O 0.2154 0.9929 0.0842
O 0.2250 0.8143 0.9161
O 0.2306 0.9535 0.4173
O 0.2372 0.9618 0.6868
O 0.2411 0.7908 0.1854
O 0.3106 0.5460 0.5230
O 0.3377 0.1190 0.0245
O 0.3385 0.4936 0.2412
O 0.3427 0.1589 0.7451
O 0.3654 0.5052 0.9165
O 0.3789 0.1142 0.1315
O 0.3809 0.1160 0.4200
O 0.3938 0.5126 0.6401
O 0.4800 0.8415 0.4732
O 0.4832 0.6351 0.8576
O 0.4883 0.6594 0.9661
O 0.5008 0.8606 0.3645
O 0.5059 0.8162 0.7494
O 0.5102 0.3724 0.1397
O 0.5125 0.1308 0.9204
O 0.5198 0.6499 0.2521
O 0.5226 0.8532 0.0789
O 0.5353 0.3462 0.4193
O 0.5426 0.0780 0.6405
O 0.5438 0.6337 0.5658
O 0.5476 0.1550 0.2399
O 0.5489 0.3105 0.7462
O 0.5604 0.1341 0.5228
O 0.5759 0.2761 0.0254
O 0.6485 0.5159 0.0687
O 0.6692 0.4562 0.3594
O 0.6749 0.8763 0.8524
O 0.6767 0.8239 0.5725
O 0.6911 0.8472 0.2535
O 0.7017 0.4565 0.4671
O 0.7062 0.8114 0.9745
O 0.7087 0.4591 0.7534
O 0.7954 0.0238 0.2979
O 0.8024 0.1781 0.8012
O 0.8224 0.2102 0.6938
O 0.8215 0.9611 0.1917
O 0.8323 0.1658 0.0897
O 0.8471 0.1922 0.4145
O 0.8514 0.9856 0.5850
O 0.8573 0.6690 0.4749
O 0.8618 0.9599 0.9184
O 0.8650 0.6346 0.0756
O 0.8669 0.4483 0.9716
O 0.8736 0.6568 0.7529
O 0.8767 0.4878 0.5744
O 0.8781 0.4784 0.2488
O 0.8909 0.4648 0.8625
O 0.8970 0.6429 0.3540
O 0.9716 0.2068 0.1933
O 0.9892 0.7885 0.6919
O 0.9901 0.1973 0.9169

The following is a DFT calculation (GGA-PBE) of Zr6MnCl14 after structural relaxation.

a b c (Å): 9.9154 9.9154 11.9945
angles (deg): 90.00 90.00 82.92
Atoms (fractional coordinates):
Zr 0.0482 0.1931 0.8783
Zr 0.1492 0.8508 0.8934
Zr 0.1931 0.0482 0.1217
Zr 0.3069 0.4518 0.6217
Zr 0.3508 0.6492 0.3934
Zr 0.4518 0.3069 0.3783
Zr 0.5482 0.6931 0.6217
Zr 0.6492 0.3508 0.6066
Zr 0.6931 0.5482 0.3783
Zr 0.8069 0.9518 0.8783
Zr 0.8508 0.1492 0.1066
Zr 0.9518 0.8069 0.1217
Mn 0.0000 0.0000 0.0000
Mn 0.5000 0.5000 0.5000
Cl 0.0336 0.2088 0.2434
Cl 0.0972 0.4028 0.7500
Cl 0.1177 0.6401 0.0108
Cl 0.1401 0.6177 0.5108
Cl 0.1543 0.8457 0.2600
Cl 0.2088 0.0336 0.7566
Cl 0.2469 0.2469 0.0000
Cl 0.2531 0.2531 0.5000
Cl 0.2912 0.4664 0.2566
Cl 0.3457 0.6543 0.7600
Cl 0.3599 0.8823 0.0108
Cl 0.3823 0.8599 0.5108
Cl 0.4028 0.0972 0.2500
Cl 0.4664 0.2912 0.7434
Cl 0.5336 0.7088 0.2566
Cl 0.5972 0.9028 0.7500
Cl 0.6177 0.1401 0.4892
Cl 0.6401 0.1177 0.9892
Cl 0.6543 0.3457 0.2400
Cl 0.7088 0.5336 0.7434
Cl 0.7469 0.7469 0.5000
Cl 0.7531 0.7531 0.0000
Cl 0.7912 0.9664 0.2434
Cl 0.8457 0.1543 0.7400
Cl 0.8599 0.3823 0.4892
Cl 0.8823 0.3599 0.9892
Cl 0.9028 0.5972 0.2500
Cl 0.9664 0.7912 0.7566

The following is a DFT calculation (GGA-PBE) of LaSmIr2 after structural relaxation.

Computed properties:
Magnetic moment   0.0 μB/f.u.

a b c (Å): 5.0301 5.0301 5.0301
angles (deg): 60.00 60.00 60.00
Atoms (fractional coordinates):
La 0.0000 0.0000 0.0000
Sm 0.5000 0.5000 0.5000
Ir 0.2500 0.2500 0.2500
Ir 0.7500 0.7500 0.7500

The following is a DFT calculation (GGA-PBE) of Mg6AlV after structural relaxation.

Computed properties:
Energy above the most stable polymorph in this dataset   9 meV per atom
Magnetic moment   2.9 μB/f.u.

a b c (Å): 5.0123 6.0510 10.8403
angles (deg): 90.00 90.00 90.00
Atoms (fractional coordinates):
Al 0.5000 0.5000 0.6665
Al 0.5000 0.0000 0.1665
Mg 0.0000 0.7454 0.0863
Mg 0.0000 0.5000 0.8306
Mg 0.0000 0.0000 0.8277
Mg 0.0000 0.5000 0.3277
Mg 0.0000 0.7546 0.5863
Mg 0.5000 0.2512 0.4173
Mg 0.0000 0.0000 0.3306
Mg 0.5000 0.7488 0.4173
Mg 0.0000 0.2454 0.5863
Mg 0.5000 0.2488 0.9173
Mg 0.0000 0.2546 0.0863
Mg 0.5000 0.7512 0.9173
V 0.5000 0.0000 0.6681
V 0.5000 0.5000 0.1681

The following is a DFT calculation (GGA-PBE) of NaB10H3Pb4O21 after structural relaxation.

Computed properties:
Magnetic moment   4.0 μB/f.u.

a b c (Å): 11.4623 11.5633 6.7054
angles (deg): 90.00 90.00 90.00
Atoms (fractional coordinates):
Na 0.0000 0.0000 0.0000
Na 0.5000 0.5000 0.5000
B 0.0195 0.2586 0.0823
B 0.1977 0.2678 0.3004
B 0.2049 0.6895 0.1240
B 0.2067 0.1583 0.9740
B 0.2402 0.9866 0.7503
B 0.2598 0.4866 0.2503
B 0.2933 0.6583 0.4740
B 0.2951 0.1895 0.6240
B 0.3023 0.7678 0.8004
B 0.4805 0.7586 0.5823
B 0.5195 0.2414 0.5823
B 0.6977 0.2322 0.8004
B 0.7049 0.8105 0.6240
B 0.7067 0.3417 0.4740
B 0.7402 0.5134 0.2503
B 0.7598 0.0134 0.7503
B 0.7933 0.8417 0.9740
B 0.7951 0.3105 0.1240
B 0.8023 0.7322 0.3004
B 0.9805 0.7414 0.0823
H 0.0000 0.5000 0.7077
H 0.0012 0.4676 0.2898
H 0.4988 0.9676 0.7898
H 0.5000 0.0000 0.2077
H 0.5012 0.0324 0.7898
H 0.9988 0.5324 0.2898
Pb 0.0336 0.7850 0.5701
Pb 0.2256 0.4576 0.7785
Pb 0.2744 0.9576 0.2785
Pb 0.4664 0.2850 0.0701
Pb 0.5336 0.7150 0.0701
Pb 0.7256 0.0424 0.2785
Pb 0.7744 0.5424 0.7785
Pb 0.9664 0.2150 0.5701
O 0.0000 0.0000 0.6090
O 0.0705 0.2893 0.2607
O 0.0762 0.9297 0.3268
O 0.0848 0.1993 0.9407
O 0.0922 0.7160 0.0327
O 0.2065 0.0293 0.9337
O 0.2056 0.2555 0.5154
O 0.2105 0.7164 0.3400
O 0.2268 0.5605 0.1000
O 0.2366 0.8698 0.7123
O 0.2392 0.1669 0.1854
O 0.2608 0.6669 0.6854
O 0.2634 0.3698 0.2123
O 0.2732 0.0605 0.6000
O 0.2895 0.2164 0.8400
O 0.2935 0.5293 0.4337
O 0.2944 0.7555 0.0154
O 0.4078 0.2160 0.5327
O 0.4152 0.6993 0.4407
O 0.4238 0.4297 0.8268
O 0.4295 0.7893 0.7607
O 0.5000 0.5000 0.1090
O 0.5705 0.2107 0.7607
O 0.5762 0.5703 0.8268
O 0.5848 0.3007 0.4407
O 0.5922 0.7840 0.5327
O 0.7056 0.2445 0.0154
O 0.7065 0.4707 0.4337
O 0.7105 0.7836 0.8400
O 0.7268 0.9395 0.6000
O 0.7366 0.6302 0.2123
O 0.7392 0.3331 0.6854
O 0.7608 0.8331 0.1854
O 0.7634 0.1302 0.7123
O 0.7732 0.4395 0.1000
O 0.7895 0.2836 0.3400
O 0.7944 0.7445 0.5154
O 0.7935 0.9707 0.9337
O 0.9078 0.2840 0.0327
O 0.9152 0.8007 0.9407
O 0.9238 0.0703 0.3268
O 0.9295 0.7107 0.2607

The following is a DFT calculation (GGA-PBE) of EuNb2O6 after structural relaxation.

Computed properties:
Magnetic moment   7.0 μB/f.u.

a b c (Å): 7.8106 5.5793 11.3037
angles (deg): 90.00 90.25 90.00
Atoms (fractional coordinates):
Eu 0.2504 0.0410 0.0411
Eu 0.2504 0.4590 0.5411
Eu 0.7496 0.5410 0.4589
Eu 0.7496 0.9590 0.9589
Nb 0.0095 0.5284 0.1436
Nb 0.0095 0.9716 0.6436
Nb 0.4796 0.0375 0.3574
Nb 0.4796 0.4625 0.8574
Nb 0.5204 0.5375 0.1426
Nb 0.5204 0.9625 0.6426
Nb 0.9905 0.0284 0.3564
Nb 0.9905 0.4716 0.8564
O 0.0369 0.7264 0.9742
O 0.0369 0.7736 0.4742
O 0.0542 0.6288 0.7102
O 0.0542 0.8712 0.2102
O 0.2470 0.1484 0.3737
O 0.2470 0.3516 0.8737
O 0.2524 0.0416 0.6463
O 0.2524 0.4584 0.1463
O 0.4475 0.6290 0.7091
O 0.4475 0.8710 0.2091
O 0.4623 0.7260 0.9739
O 0.4623 0.7740 0.4739
O 0.5377 0.2260 0.5261
O 0.5377 0.2740 0.0261
O 0.5525 0.1290 0.7909
O 0.5525 0.3710 0.2909
O 0.7476 0.5416 0.8537
O 0.7476 0.9584 0.3537
O 0.7530 0.6484 0.1263
O 0.7530 0.8516 0.6263
O 0.9458 0.1288 0.7898
O 0.9458 0.3712 0.2898
O 0.9631 0.2264 0.5258
O 0.9631 0.2736 0.0258

| no. | total energy (eV per atom) |
| --- | --- |
| 1 | -8.09 |
| 2 | -6.11 |
| 3 | -5.73 |
| 4 | -7.45 |
| 5 | -2.66 |
| 6 | -6.83 |
| 7 | -9.46 |